(1)
7
Lattice="3.6805 0.0000 -1.0942 -0.3253 3.6661 -1.0942 0.0069 0.0075 6.7600" Properties=species:S:1:pos:R:3 comment="meta-GGA r2SCAN Sr2FeO4, optimized geometry" space_group="No. 139" ef_ev_per_atom=-2.53 pbc="T T T"
O 2.8385 3.1015 2.8105
Sr 1.2049 1.3166 4.0528
Sr 2.1571 2.3570 0.5188
O 0.5236 0.5721 1.7610
O -0.1627 1.8330 -0.5471
O 1.8402 0.0000 -0.5471
Fe 0.0000 0.0000 0.0000

=====

(2)
36
Lattice="4.7517 0.0000 0.0000 0.0000 -4.7505 8.9641 0.0000 -9.5026 -0.0008" Properties=species:S:1:pos:R:3 comment="meta-GGA r2SCAN Ta2FeO6, optimized geometry" ef_ev_per_atom=-2.64 pbc="T T T"
O 0.9650 -5.7156 7.4351
O 1.4660 -8.0371 -0.0006
Ta 0.0001 -4.7513 2.9519
Fe 0.0000 0.0000 0.0000
Ta 2.3758 -7.1266 7.4340
O 3.3408 -10.9127 6.0103
Ta 2.3760 -7.1265 1.5293
O 3.8419 -3.8407 4.4818
O 0.9647 -0.9649 1.5288
Fe 2.3759 -7.1265 4.4816
O 1.4660 -3.2858 -0.0001
O 3.3408 -6.1614 6.0107
O 0.9650 -10.4669 7.4346
O 3.3406 -10.9129 2.9524
Fe 0.0000 -4.7513 -0.0004
O 1.4109 -3.3403 2.9530
O 3.7868 -8.5374 1.5282
O 3.3406 -6.1616 2.9528
O 3.8419 -8.5920 4.4814
O 1.4111 -3.3401 6.0109
O 0.9098 -10.4123 4.4815
O 3.7870 -8.5369 7.4349
O 1.4111 -8.0914 6.0104
O 1.4109 -8.0916 2.9526
O 3.2857 -10.9672 8.9634
Fe 2.3759 -2.3752 4.4821
Ta 4.7516 -4.7504 6.0118
O 0.9098 -5.6610 4.4819
Ta 2.3760 -2.3752 1.5297
O 3.2857 -6.2159 8.9638
Ta 2.3758 -11.8778 7.4336
O 3.7868 -3.7862 1.5286
O 3.7870 -13.2881 7.4345
Ta 4.7516 -9.5017 6.0113
Ta 0.0001 -9.5026 2.9515
O 0.9647 -5.7162 1.5284

=====

(3)
18
Lattice="4.4148 0.0000 0.0000 0.0000 4.4148 0.0000 0.0000 0.0000 8.9474" Properties=species:S:1:pos:R:3 comment="meta-GGA r2SCAN Fe2TeO6, optimized geometry" space_group="No. 136" ef_ev_per_atom=-1.31 pbc="T T T"
O 0.8418 3.5730 4.4737
O 1.3656 1.3657 8.9474
Fe 4.4148 4.4148 5.9704
Te 4.4148 0.0001 8.9472
O 3.5460 0.8688 7.4407
O 3.0491 3.0492 8.9474
O 3.5730 0.8418 4.4737
Fe 0.0000 4.4147 2.9771
O 0.8688 3.5460 1.5068
O 0.8688 3.5460 7.4407
O 3.0762 3.0762 5.9801
O 3.0762 3.0762 2.9673
Fe 2.2074 2.2074 7.4504
Te 2.2074 2.2074 4.4739
O 3.5460 0.8688 1.5068
O 1.3386 1.3386 2.9673
O 1.3386 1.3386 5.9801
Fe 2.2074 2.2074 1.4969

=====

(4)
16
Lattice="3.7604 -0.0003 0.0000 -1.8806 4.8578 0.0000 0.0000 0.0000 10.0696" Properties=species:S:1:pos:R:3 comment="meta-GGA r2SCAN Ti2FeO5, optimized geometry" space_group="No. 11" ef_ev_per_atom=-2.83 pbc="T T T"
Ti -0.0001 1.3175 4.3633
Ti -0.0001 1.3175 0.6715
Fe 1.8824 2.9851 2.5174
O 0.0000 0.4535 6.1782
O 1.8799 4.4040 1.1435
O 0.0013 2.0393 2.5174
O 1.8799 4.4040 3.8913
Ti 1.8799 3.5400 5.7063
O 1.8803 1.8070 0.5991
O 0.0000 0.4535 8.9262
O -0.0005 3.0505 5.6339
O -0.0005 3.0505 9.4705
O 1.8785 2.8182 7.5522
Ti 1.8799 3.5400 9.3982
O 1.8803 1.8070 4.4357
Fe -0.0026 1.8726 7.5522

=====

(5)
36
Lattice="-1.8087 -1.9931 -6.1601 2.2648 -6.9559 3.3404 -7.8929 1.0634 4.9330" Properties=species:S:1:pos:R:3 comment="meta-GGA r2SCAN VFeO4, optimized geometry" space_group="No. 2" ef_ev_per_atom=-2.14 pbc="T T T"
O -3.4777 -0.5291 1.4576
O -7.3700 -4.2565 -0.0425
O -5.3816 -3.4771 3.2251
V -6.1747 -4.8921 3.7029
O -1.8720 -4.5394 4.1241
Fe -0.4971 -6.8828 1.1337
O -8.2905 -2.1276 1.7885
Fe -3.0463 -5.8985 -0.3157
O -2.3745 -1.6915 -1.7467
O -0.0897 -2.5590 -0.4464
O -2.5874 -2.7668 -4.6058
V -1.2621 -2.9936 -1.5896
O 0.3105 -6.1866 2.8610
O -4.5941 -4.7943 0.1153
Fe -6.9396 -1.0028 0.9795
O 0.8538 -5.7580 0.3247
O -5.9495 -0.6088 2.6066
O -7.3470 -5.3267 2.5597
O -1.9840 -5.6568 1.4625
V 0.2185 -6.6730 4.5650
O -5.5648 -3.3462 -2.0109
Fe -6.2533 -3.8406 7.0237
V -5.7335 -3.6629 -0.3560
O -7.7472 -1.6991 -0.7477
V -1.7033 -4.2228 2.4693
V -7.6553 -1.2127 -2.4517
O -2.0551 -4.4085 -1.1118
O -0.0667 -3.6291 2.1557
O -3.9590 -7.3565 0.6556
O -2.8426 -3.0913 1.9979
O -5.0622 -6.1941 3.8599
O -5.4528 -2.2289 0.6507
Fe -4.3904 -1.9872 2.4290
Fe -1.1834 -4.0451 -4.9105
O -1.4873 -7.2769 -0.4933
O -4.8493 -5.1188 6.7190

=====

(6)
12
Lattice="-3.8809 3.0723 0.6496 -1.1797 -3.8084 -3.0044 -1.7836 -3.2799 4.8583" Properties=species:S:1:pos:R:3 comment="meta-GGA r2SCAN VFeO4, optimized geometry" space_group="No. 63" ef_ev_per_atom=-2.13 pbc="T T T"
O -1.7032 -0.8503 0.7326
O -4.0762 -0.0999 2.0610
O -3.5495 -5.3529 2.5711
O -2.4817 -2.7788 3.0083
O -5.1410 -3.1656 1.7709
V -3.4863 -3.8003 1.9499
O -3.2947 1.3369 -0.0677
Fe -0.8918 -1.6399 2.4291
O -4.3625 -1.2371 -0.5049
V -3.3580 -0.2156 0.5536
Fe -3.8808 3.0723 0.6496
O -2.7680 -3.9159 0.4425

=====

(7)
22
Lattice="6.1084 -0.0001 3.5266 2.0361 5.7591 3.5266 -0.0001 0.0000 7.0533" Properties=species:S:1:pos:R:3 comment="meta-GGA r2SCAN Y2Fe2O7, optimized geometry" space_group="No. 227" ef_ev_per_atom=-2.59 pbc="T T T"
O 3.0542 2.1596 5.2899
Fe 6.1084 -0.0001 3.5266
O 1.8480 3.8654 7.3791
Fe 1.0180 2.8795 8.8166
O 3.8842 5.3051 10.9057
Fe 6.1084 -0.0001 7.0533
Fe 3.0542 0.0000 1.7633
O 2.6780 1.8936 8.8166
O 7.5025 5.3051 8.8166
Y 4.0722 2.8795 7.0532
O 0.6420 0.4539 5.2899
O 3.8841 5.3051 6.7275
O 5.0903 3.5994 8.8166
Y 5.0903 5.7590 8.8166
O 5.4665 3.8654 5.2900
O 4.2603 0.4539 3.2009
O 6.2964 1.8937 10.9056
Y 1.0180 2.8795 5.2899
O 1.8481 3.8652 3.2009
O 4.2603 0.4538 7.3791
Y 4.0723 2.8795 3.5266
O 6.2964 1.8936 6.7275

=====

(8)
7
Lattice="0.3460 1.7194 -2.9580 0.3460 -1.7194 -2.9580 -7.9511 0.0000 -2.9291" Properties=species:S:1:pos:R:3 comment="meta-GGA r2SCAN YbFe2O4, optimized geometry" space_group="No. 166" ef_ev_per_atom=-2.42 pbc="T T T"
Fe -2.7194 0.0000 -2.3171
O -6.4854 0.0000 -6.7555
Fe -4.5397 0.0000 -6.5279
O -4.8393 0.0000 -2.5650
Yb 0.0000 0.0000 0.0000
O -2.4198 0.0000 -6.2799
O -0.7737 0.0000 -2.0895

=====

(9)
4
Lattice="0.0000 3.1363 3.1363 3.1363 0.0000 3.1363 3.1363 3.1363 0.0000" Properties=species:S:1:pos:R:3 comment="meta-GGA r2SCAN Ta2FeOs, optimized geometry" space_group="No. 225" ef_ev_per_atom=-0.29 pbc="T T T"
Fe 1.5682 1.5682 1.5682
Ta 0.0000 0.0000 0.0000
Ta 3.1363 3.1363 3.1363
Os 4.7044 4.7044 4.7044

=====

(10)
4
Lattice="0.0000 3.2273 3.2273 3.2273 0.0000 3.2273 3.2273 3.2273 0.0000" Properties=species:S:1:pos:R:3 comment="meta-GGA r2SCAN Zr2FeOs, optimized geometry" space_group="No. 225" ef_ev_per_atom=-0.34 pbc="T T T"
Fe 3.2273 3.2273 3.2273
Zr 1.6137 1.6137 1.6137
Os 0.0000 0.0000 0.0000
Zr 4.8410 4.8410 4.8410

=====

(11)
6
Lattice="2.7154 0.0000 0.0000 0.0000 4.9182 0.0000 0.0000 0.0000 5.6270" Properties=species:S:1:pos:R:3 comment="meta-GGA r2SCAN FeP2, optimized geometry" space_group="No. 58" ef_ev_per_atom=-0.42 pbc="T T T"
Fe 1.3577 2.4591 2.8135
Fe 0.0000 0.0000 0.0000
P 1.3577 3.3001 0.7349
P 1.3577 1.6181 4.8921
P 0.0000 0.8410 2.0786
P 0.0000 4.0772 3.5484

=====

(12)
12
Lattice="-5.0243 -0.5670 -2.1233 2.0158 -3.3149 -3.8846 -0.1009 -5.2844 1.6498" Properties=species:S:1:pos:R:3 comment="meta-GGA r2SCAN FePS, optimized geometry" space_group="No. 14" ef_ev_per_atom=-0.44 pbc="T T T"
P -2.7600 -7.9388 -3.7242
S 0.6324 -5.8751 -1.6991
P -1.4662 -5.1563 -4.0237
S -2.5370 -5.7917 -1.3036
P -0.3494 -1.2275 -0.6339
P -1.6431 -4.0100 -0.3344
Fe -4.5346 -5.2190 -2.0282
Fe -1.9802 -2.2942 -1.7949
S -0.5724 -3.3746 -3.0545
Fe 1.4252 -3.9473 -2.3299
S -3.7418 -3.2912 -2.6590
Fe -1.1292 -6.8721 -2.5632